{"formula": "BaLu2Te4", "functional": "PBE", "state": "relaxed", "space_group": "Pnma, No. 62", "corrected_energy_ev_per_atom": -5.10, "cell": [[-2.042, 2.442, -3.081], [5.626, -7.732, -9.856], [-12.659, -9.903, 0.543]], "species": ["Te", "Te", "Te", "Te", "Te", "Te", "Te", "Te", "Te", "Te", "Te", "Te", "Te", "Te", "Te", "Te", "Ba", "Ba", "Ba", "Ba", "Lu", "Lu", "Lu", "Lu", "Lu", "Lu", "Lu", "Lu"], "frac_coords": [[0.250, 0.296, 0.657], [0.750, 0.910, 0.075], [0.250, 0.796, 0.843], [0.750, 0.028, 0.716], [0.250, 0.972, 0.284], [0.250, 0.472, 0.216], [0.250, 0.090, 0.925], [0.250, 0.375, 0.972], [0.750, 0.528, 0.784], [0.750, 0.625, 0.028], [0.250, 0.875, 0.528], [0.250, 0.590, 0.575], [0.750, 0.410, 0.425], [0.750, 0.204, 0.157], [0.750, 0.125, 0.472], [0.750, 0.704, 0.343], [0.250, 0.739, 0.170], [0.250, 0.239, 0.330], [0.750, 0.761, 0.670], [0.750, 0.261, 0.830], [0.750, 0.442, 0.610], [0.750, 0.419, 0.096], [0.750, 0.942, 0.890], [0.250, 0.058, 0.110], [0.250, 0.081, 0.596], [0.250, 0.558, 0.390], [0.750, 0.919, 0.404], [0.250, 0.581, 0.904]]}

=====

{"formula": "BaMg149", "functional": "PBE", "state": "relaxed", "total_magnetization_mub_per_cell": 0.086, "space_group": "P-6m2, No. 187", "energy_ev_per_atom": -1.621, "cell": [[4.170, 12.661, -8.951], [-13.980, 0.007, 7.897], [7.028, 6.477, 12.436]], "species": ["Mg", "Mg", "Mg", "Mg", "Mg", "Mg", "Mg", "Mg", "Mg", "Mg", "Mg", "Mg", "Mg", "Mg", "Mg", "Mg", "Mg", "Mg", "Mg", "Mg", "Mg", "Mg", "Mg", "Mg", "Mg", "Mg", "Mg", "Mg", "Mg", "Mg", "Mg", "Mg", "Mg", "Mg", "Mg", "Mg", "Mg", "Mg", "Mg", "Mg", "Mg", "Mg", "Mg", "Mg", "Mg", "Mg", "Mg", "Mg", "Mg", "Mg", "Mg", "Mg", "Mg", "Mg", "Mg", "Mg", "Mg", "Mg", "Mg", "Mg", "Mg", "Mg", "Mg", "Mg", "Mg", "Mg", "Mg", "Mg", "Mg", "Mg", "Mg", "Mg", "Mg", "Mg", "Mg", "Mg", "Mg", "Mg", "Mg", "Mg", "Mg", "Mg", "Mg", "Mg", "Mg", "Mg", "Mg", "Mg", "Mg", "Mg", "Mg", "Mg", "Mg", "Mg", "Mg", "Mg", "Mg", "Mg", "Mg", "Mg", "Mg", "Mg", "Mg", "Mg", "Mg", "Mg", "Mg", "Mg", "Mg", "Mg", "Mg", "Mg", "Mg", "Mg", "Mg", "Mg", "Mg", "Mg", "Mg", "Mg", "Mg", "Mg", "Mg", "Mg", "Mg", "Mg", "Mg", "Mg", "Mg", "Mg", "Mg", "Mg", "Mg", "Mg", "Mg", "Mg", "Mg", "Mg", "Mg", "Mg", "Mg", "Mg", "Mg", "Mg", "Mg", "Mg", "Mg", "Mg", "Mg", "Ba"], "frac_coords": [[0.400, 0.600, 0.334], [0.202, 0.798, 0.000], [0.066, 0.533, 0.500], [0.600, 0.200, 0.333], [0.595, 0.798, 0.000], [0.269, 0.337, 0.832], [0.067, 0.933, 0.500], [0.799, 0.798, 0.335], [0.209, 0.996, 0.000], [0.209, 0.213, 0.000], [0.000, 0.000, 0.334], [0.465, 0.332, 0.834], [0.869, 0.131, 0.836], [0.787, 0.791, 0.000], [0.599, 0.599, 0.666], [0.467, 0.134, 0.500], [0.668, 0.133, 0.834], [0.401, 0.000, 0.334], [0.599, 0.000, 0.666], [0.663, 0.932, 0.168], [0.597, 0.999, 0.000], [0.799, 0.598, 0.000], [0.667, 0.333, 0.166], [0.668, 0.535, 0.834], [0.787, 0.996, 0.000], [0.202, 0.201, 0.335], [0.200, 0.400, 0.334], [0.001, 0.598, 0.000], [0.071, 0.929, 0.824], [0.867, 0.535, 0.834], [0.001, 0.403, 0.000], [0.467, 0.933, 0.168], [0.200, 0.600, 0.666], [0.004, 0.791, 0.000], [0.600, 0.400, 0.000], [0.800, 0.600, 0.667], [0.869, 0.738, 0.164], [0.866, 0.733, 0.500], [0.202, 0.405, 0.000], [0.068, 0.731, 0.832], [0.866, 0.933, 0.500], [0.267, 0.334, 0.500], [0.467, 0.533, 0.500], [0.859, 0.929, 0.176], [0.202, 0.001, 0.335], [0.466, 0.733, 0.167], [0.400, 0.800, 0.666], [0.800, 0.200, 0.667], [0.267, 0.733, 0.500], [0.666, 0.733, 0.500], [0.400, 0.600, 0.666], [0.202, 0.201, 0.665], [0.799, 0.001, 0.335], [0.999, 0.798, 0.335], [0.000, 0.401, 0.334], [0.799, 0.400, 0.000], [0.867, 0.332, 0.166], [0.402, 0.403, 0.000], [0.467, 0.533, 0.832], [0.267, 0.134, 0.500], [0.200, 0.800, 0.666], [0.068, 0.337, 0.832], [0.667, 0.134, 0.500], [0.067, 0.533, 0.832], [0.201, 0.601, 0.000], [0.663, 0.731, 0.832], [0.269, 0.932, 0.168], [0.999, 0.201, 0.665], [0.401, 0.401, 0.334], [0.466, 0.733, 0.833], [0.666, 0.933, 0.500], [0.202, 0.001, 0.665], [0.000, 0.401, 0.666], [0.668, 0.535, 0.166], [0.667, 0.333, 0.834], [0.600, 0.200, 0.667], [0.068, 0.337, 0.168], [0.262, 0.131, 0.164], [0.467, 0.933, 0.832], [0.600, 0.201, 0.000], [0.465, 0.133, 0.166], [0.402, 0.999, 0.000], [0.800, 0.400, 0.667], [0.269, 0.932, 0.832], [0.401, 0.000, 0.666], [0.800, 0.600, 0.333], [0.866, 0.134, 0.500], [0.597, 0.598, 0.000], [0.067, 0.733, 0.500], [0.267, 0.534, 0.500], [0.071, 0.141, 0.824], [0.866, 0.333, 0.500], [0.267, 0.933, 0.500], [0.071, 0.929, 0.176], [0.400, 0.200, 0.333], [0.663, 0.731, 0.168], [0.859, 0.929, 0.824], [0.799, 0.001, 0.665], [0.400, 0.800, 0.334], [0.269, 0.337, 0.168], [0.267, 0.733, 0.833], [0.000, 0.000, 0.666], [0.267, 0.733, 0.167], [0.467, 0.333, 0.500], [0.600, 0.800, 0.666], [0.600, 0.800, 0.334], [0.465, 0.133, 0.834], [0.869, 0.131, 0.164], [0.000, 0.599, 0.666], [0.400, 0.200, 0.667], [0.004, 0.213, 0.000], [0.867, 0.332, 0.834], [0.267, 0.534, 0.167], [0.867, 0.535, 0.166], [0.200, 0.800, 0.334], [0.866, 0.533, 0.500], [0.999, 0.201, 0.335], [0.000, 0.599, 0.334], [0.663, 0.932, 0.832], [0.667, 0.533, 0.500], [0.267, 0.534, 0.833], [0.399, 0.601, 0.000], [0.799, 0.201, 0.000], [0.401, 0.401, 0.666], [0.800, 0.400, 0.333], [0.067, 0.533, 0.168], [0.262, 0.131, 0.836], [0.399, 0.799, 0.000], [0.402, 0.201, 0.000], [0.465, 0.332, 0.166], [0.668, 0.133, 0.166], [0.067, 0.134, 0.500], [0.067, 0.334, 0.500], [0.200, 0.600, 0.334], [0.071, 0.141, 0.176], [0.999, 0.798, 0.665], [0.799, 0.798, 0.665], [0.600, 0.400, 0.667], [0.600, 0.400, 0.333], [0.800, 0.200, 0.333], [0.467, 0.934, 0.500], [0.467, 0.533, 0.168], [0.068, 0.731, 0.168], [0.200, 0.400, 0.666], [0.466, 0.733, 0.500], [0.667, 0.333, 0.500], [0.599, 0.599, 0.334], [0.599, 0.000, 0.334], [0.869, 0.738, 0.836], [0.000, 0.000, 0.000]]}

=====

{"formula": "BaMg6Mn", "functional": "PBE", "state": "relaxed", "total_magnetization_mub_per_cell": 7.976, "energy_ev_per_atom": -2.343, "cell": [[-5.053, -0.882, -1.150], [0.882, -6.624, 1.207], [-2.870, 1.681, 11.320]], "species": ["Mg", "Mg", "Mg", "Mg", "Mg", "Mg", "Mg", "Mg", "Mg", "Mg", "Mg", "Mg", "Ba", "Ba", "Mn", "Mn"], "frac_coords": [[0.000, 0.500, 0.347], [0.000, 0.000, 0.327], [0.500, 0.258, 0.420], [0.500, 0.742, 0.420], [0.000, 0.721, 0.581], [0.000, 0.500, 0.827], [0.000, 0.779, 0.081], [0.000, 0.000, 0.847], [0.500, 0.242, 0.920], [0.000, 0.279, 0.581], [0.000, 0.221, 0.081], [0.500, 0.758, 0.920], [0.500, 0.000, 0.666], [0.500, 0.500, 0.166], [0.500, 0.500, 0.657], [0.500, 0.000, 0.157]]}

=====

{"formula": "BaMg6Mn", "functional": "PBE", "state": "relaxed", "total_magnetization_mub_per_cell": 8.192, "energy_ev_per_atom": -2.351, "cell": [[-4.770, 1.677, -1.080], [-2.212, -2.399, 6.047], [2.517, 10.411, 5.052]], "species": ["Mg", "Mg", "Mg", "Mg", "Mg", "Mg", "Mg", "Mg", "Mg", "Mg", "Mg", "Mg", "Mn", "Mn", "Ba", "Ba"], "frac_coords": [[0.000, 0.000, 0.334], [0.000, 0.277, 0.571], [0.000, 0.723, 0.571], [0.500, 0.233, 0.918], [0.500, 0.767, 0.918], [0.000, 0.223, 0.071], [0.000, 0.500, 0.834], [0.500, 0.267, 0.418], [0.500, 0.500, 0.661], [0.000, 0.777, 0.071], [0.500, 0.000, 0.161], [0.500, 0.733, 0.418], [0.000, 0.500, 0.356], [0.000, 0.000, 0.856], [0.500, 0.500, 0.170], [0.500, 0.000, 0.670]]}

=====

{"formula": "Ba2MgNb6N2O14", "functional": "PBE", "state": "relaxed", "total_magnetization_mub_per_cell": 0.000, "space_group": "P1, No. 1", "corrected_energy_ev_per_atom": -8.82, "cell": [[-5.921, -6.703, 3.957], [3.302, 1.146, 9.178], [-2.756, 2.817, 0.654]], "species": ["O", "O", "O", "O", "O", "O", "O", "O", "O", "O", "O", "O", "O", "O", "Nb", "Nb", "Nb", "Nb", "Nb", "Nb", "N", "N", "Mg", "Ba", "Ba"], "frac_coords": [[0.454, 0.891, 0.758], [0.116, 0.293, 0.758], [0.989, 0.885, 0.762], [0.347, 0.100, 0.259], [0.418, 0.291, 0.756], [0.258, 0.415, 0.256], [0.083, 0.596, 0.759], [0.561, 0.719, 0.259], [0.025, 0.119, 0.260], [0.383, 0.598, 0.758], [0.616, 0.119, 0.248], [0.878, 0.690, 0.261], [0.720, 0.857, 0.758], [0.583, 0.404, 0.261], [0.539, 0.699, 0.760], [0.728, 0.524, 0.263], [0.062, 0.306, 0.258], [0.460, 0.255, 0.248], [0.234, 0.472, 0.756], [0.884, 0.739, 0.762], [0.730, 0.577, 0.762], [0.880, 0.379, 0.264], [0.513, 0.944, 0.256], [0.810, 0.113, 0.748], [0.206, 0.010, 0.761]]}